A plane-wave DFT calculation with PBE-GGA was carried out for a geometry-optimized V3Sn structure. Values from VASP.

Computed properties:
The space group is P6_3/mmc. The calculation puts the volume at 15.644 Å³ per atom. The formation enthalpy at 0 K is -0.03 eV/atom.

Quantum ESPRESSO input file:
```
&SYSTEM
  ibrav = 0, nat = 8, ntyp = 2
/
ATOMIC_SPECIES
V 50.94 V.upf
Sn 118.71 Sn.upf
CELL_PARAMETERS angstrom
0.000 0.000 -4.526
-2.825 -4.894 0.000
-5.651 0.000 0.000
ATOMIC_POSITIONS angstrom
V -7.210 -4.162 -1.131
V -2.825 -3.431 -3.394
V -1.267 -0.731 -3.394
V -5.651 -1.462 -1.131
V -4.092 -4.162 -1.131
V -4.384 -0.731 -3.394
Sn -2.825 -1.631 -1.131
Sn -5.651 -3.262 -3.394
```